# CoHO2

A relaxed structure of CoHO2 (PBE+U, the Materials Project).

* E_tot: -5.551 eV/atom
* magnetization: 2.0 μB/f.u.

a = 5.4006 Å, b = 2.8924 Å, c = 4.6601 Å
α = 90.00°, β = 108.43°, γ = 90.00°
Space group C2/m (No. 12)
Asymmetric unit:
Co 0.0000 0.0000 0.0000 (multiplicity 2)
H 0.0000 0.5000 0.5000 (multiplicity 2)
O 0.0817 0.5000 0.7736 (multiplicity 4)